Material: LiCrP4O12
Method: DFT, GGA+U
State: relaxed

Computed properties:
Energy of formation from the pure elements ... -251.8 kJ per mole of atoms
Excess energy over the best structure of this formula in the dataset ... 0.0324 eV/atom
Symmetry ... C2/c, No. 15
Energy ... -7.184 eV per atom

```
data_LiCrP4O12
_cell_length_a 7.194
_cell_length_b 7.194
_cell_length_c 10.019
_cell_angle_alpha 66.49
_cell_angle_beta 66.49
_cell_angle_gamma 70.17
_space_group_name_H-M_alt 'P 1'
_space_group_IT_number 1
_space_group_name_Hall 'P 1'
loop_
_atom_site_label
_atom_site_type_symbol
_atom_site_fract_x
_atom_site_fract_y
_atom_site_fract_z
O1 O 0.880 0.735 0.317
O2 O 0.463 0.705 0.848
O3 O 0.499 0.211 0.560
O4 O 0.501 0.789 0.440
O5 O 0.349 0.189 0.848
O6 O 0.120 0.265 0.683
O7 O 0.295 0.537 0.652
O8 O 0.537 0.295 0.152
O9 O 0.651 0.811 0.152
O10 O 0.921 0.150 0.096
O11 O 0.705 0.463 0.348
O12 O 0.809 0.268 0.590
O13 O 0.079 0.850 0.904
O14 O 0.789 0.501 0.940
O15 O 0.268 0.809 0.090
O16 O 0.189 0.349 0.348
O17 O 0.850 0.079 0.404
O18 O 0.735 0.880 0.817
O19 O 0.811 0.651 0.652
O20 O 0.191 0.732 0.410
O21 O 0.150 0.921 0.596
O22 O 0.211 0.499 0.060
O23 O 0.265 0.120 0.183
O24 O 0.732 0.191 0.910
P1 P 0.732 0.246 0.478
P2 P 0.310 0.285 0.698
P3 P 0.268 0.754 0.522
P4 P 0.285 0.310 0.198
P5 P 0.715 0.690 0.802
P6 P 0.246 0.732 0.978
P7 P 0.754 0.268 0.022
P8 P 0.690 0.715 0.302
Cr1 Cr 0.947 0.053 0.750
Cr2 Cr 0.053 0.947 0.250
Li1 Li 0.500 0.000 0.000
Li2 Li 0.000 0.500 0.500
```